Here is an optimized crystal structure of Na3NbIn3P5SO24 from the Materials Project. Energies are from GGA-PBE.

CIF file:
```
data_Na3NbIn3P5SO24
_chemical_formula_sum 'Na9 Nb3 In9 P15 S3 O72'
_cell_length_a 8.9129
_cell_length_b 8.9096
_cell_length_c 23.1195
_cell_angle_alpha 89.76
_cell_angle_beta 90.21
_cell_angle_gamma 120.06
_space_group_name_H-M_alt 'P 1'
_space_group_IT_number 1
loop_
_space_group_symop_operation_xyz
'x,y,z'
loop_
_atom_site_label
_atom_site_fract_x
_atom_site_fract_y
_atom_site_fract_z
O1 0.1658 0.6874 0.7620
O2 0.9654 0.7870 0.8032
O3 0.5068 0.6470 0.5782
O4 0.2035 0.1604 0.0822
O5 0.1610 0.4705 0.2538
O6 0.6892 0.5304 0.2465
O7 0.3746 0.4813 0.3622
O8 0.0174 0.8271 0.4111
O9 0.8413 0.5225 0.0288
O10 0.2189 0.1875 0.8047
O11 0.3578 0.8612 0.8662
O12 0.8463 0.3202 0.2461
O13 0.6775 0.5181 0.5322
O14 0.5509 0.8557 0.4729
O15 0.6701 0.1513 0.7452
O16 0.6339 0.1176 0.1366
O17 0.1799 0.9863 0.9104
O18 0.8354 0.0330 0.0839
O19 0.4797 0.3608 0.1380
O20 0.1927 0.9791 0.1936
O21 0.8778 0.5183 0.1383
O22 0.8798 0.3547 0.6381
O23 0.8591 0.3656 0.9226
O24 0.4846 0.3357 0.7450
O25 0.1335 0.4929 0.8641
O26 0.9692 0.1646 0.5824
O27 0.5099 0.6385 0.8619
O28 0.7669 0.9462 0.6980
O29 0.8546 0.5045 0.4280
O30 0.3139 0.8326 0.2530
O31 0.1846 0.1813 0.4112
O32 0.9748 0.1944 0.3024
O33 0.3534 0.4929 0.0772
O34 0.8117 0.0279 0.8057
O35 0.1417 0.6513 0.0775
O36 0.5178 0.8292 0.7627
O37 0.1396 0.4989 0.5772
O38 0.6354 0.4945 0.9238
O39 0.5471 0.6946 0.9705
O40 0.8140 0.9934 0.4110
O41 0.4645 0.1460 0.5286
O42 0.6860 0.1608 0.0279
O43 0.3161 0.4838 0.7611
O44 0.1859 0.2258 0.6954
O45 0.5262 0.6821 0.2539
O46 0.0110 0.1915 0.9100
O47 0.4999 0.3481 0.4276
O48 0.5021 0.8653 0.0754
O49 0.8415 0.5259 0.7456
O50 0.7821 0.8080 0.1972
O51 0.8399 0.8018 0.5831
O52 0.6447 0.1482 0.4293
O53 0.3012 0.4451 0.4709
O54 0.1064 0.6231 0.3628
O55 0.3550 0.8666 0.5770
O56 0.8096 0.8198 0.9096
O57 0.8436 0.3202 0.5295
O58 0.0190 0.2146 0.1968
O59 0.2140 0.0189 0.3058
O60 0.8035 0.7845 0.3029
O61 0.4803 0.1647 0.2479
O62 0.9701 0.8031 0.0829
O63 0.5066 0.1407 0.9231
O64 0.5124 0.8987 0.3652
O65 0.4783 0.3164 0.0289
O66 0.2032 0.0317 0.5830
O67 0.1440 0.4512 0.9721
O68 0.1570 0.7057 0.4702
O69 0.0428 0.8187 0.6952
O70 0.6427 0.5269 0.6415
O71 0.4749 0.1198 0.6342
O72 0.3091 0.8598 0.9752
P1 0.6272 0.6672 0.9170
P2 0.3771 0.3362 0.0828
P3 0.0388 0.3726 0.9181
P4 0.6314 0.9646 0.4189
P5 0.0025 0.7090 0.7503
P6 0.2981 0.9985 0.2498
P7 0.0409 0.6681 0.4172
P8 0.9576 0.6231 0.0836
P9 0.7019 0.9990 0.7519
P10 0.6676 0.6287 0.5853
P11 0.2948 0.2959 0.7505
P12 0.3348 0.3707 0.4169
P13 0.6682 0.0422 0.0823
P14 0.9629 0.3342 0.5838
P15 0.3342 0.9601 0.9192
S1 0.7019 0.7029 0.2498
S2 0.3729 0.0398 0.5817
S3 0.0013 0.2988 0.2494
In1 0.9997 0.9994 0.1454
In2 0.3347 0.6716 0.3184
In3 0.3351 0.6593 0.5164
In4 0.6619 0.3288 0.1840
In5 0.3341 0.6612 0.0172
In6 0.9994 0.0018 0.3500
In7 0.0037 0.0035 0.8511
In8 0.6710 0.3320 0.6847
In9 0.9944 0.0014 0.6486
Nb1 0.6691 0.3359 0.9794
Nb2 0.6782 0.3446 0.4816
Nb3 0.3277 0.6655 0.8161
Na1 0.3206 0.6595 0.6608
Na2 0.9839 0.0000 0.5007
Na3 0.9890 0.0002 0.9977
Na4 0.3325 0.6612 0.1670
Na5 0.3003 0.9621 0.0849
Na6 0.6665 0.3215 0.8307
Na7 0.6673 0.3349 0.3275
Na8 0.6445 0.6400 0.7479
Na9 0.3307 0.0248 0.4131
```

Electronic total energy: -6.73 eV/atom

---

Here is an optimized crystal structure of Na5Nb2In2Si3P3O24 from the Materials Project. Energies are from GGA-PBE.

CIF file:
```
data_Na5Nb2In2Si3P3O24
_chemical_formula_sum 'Na15 Nb6 In6 Si9 P9 O72'
_cell_length_a 9.0525
_cell_length_b 9.0649
_cell_length_c 22.7381
_cell_angle_alpha 89.88
_cell_angle_beta 90.15
_cell_angle_gamma 119.74
_space_group_name_H-M_alt 'P 1'
_space_group_IT_number 1
loop_
_space_group_symop_operation_xyz
'x,y,z'
loop_
_atom_site_label
_atom_site_fract_x
_atom_site_fract_y
_atom_site_fract_z
O1 0.8167 0.0256 0.8081
O2 0.1729 0.7011 0.7556
O3 0.5151 0.8666 0.0755
O4 0.3373 0.8495 0.5795
O5 0.1352 0.4480 0.9753
O6 0.4711 0.1498 0.2448
O7 0.5121 0.1488 0.9233
O8 0.7001 0.1645 0.0290
O9 0.8164 0.7812 0.3039
O10 0.8070 0.8102 0.9107
O11 0.1823 0.0278 0.5913
O12 0.2137 0.0199 0.3077
O13 0.6458 0.5185 0.6427
O14 0.2966 0.8271 0.2551
O15 0.8389 0.0378 0.0886
O16 0.3332 0.4879 0.0777
O17 0.9730 0.8173 0.0915
O18 0.9633 0.1613 0.5887
O19 0.1465 0.6949 0.4767
O20 0.5297 0.7005 0.2554
O21 0.8546 0.4866 0.4225
O22 0.6376 0.4965 0.9215
O23 0.8434 0.3324 0.2471
O24 0.4878 0.1147 0.6425
O25 0.5078 0.6400 0.8621
O26 0.5033 0.3656 0.4219
O27 0.3622 0.4940 0.3613
O28 0.1705 0.1981 0.6959
O29 0.9797 0.1940 0.3114
O30 0.2982 0.4498 0.4703
O31 0.6993 0.5300 0.5274
O32 0.1788 0.4870 0.2560
O33 0.8505 0.5283 0.7450
O34 0.8816 0.3650 0.6369
O35 0.4822 0.3574 0.1423
O36 0.8237 0.0037 0.4139
O37 0.6853 0.5325 0.2434
O38 0.1639 0.9757 0.9103
O39 0.0289 0.8383 0.4102
O40 0.6339 0.1159 0.1379
O41 0.0218 0.1926 0.1932
O42 0.8340 0.5276 0.0253
O43 0.4968 0.8565 0.3622
O44 0.5152 0.8214 0.7575
O45 0.4720 0.1659 0.5262
O46 0.1719 0.9701 0.1965
O47 0.2164 0.1815 0.8045
O48 0.5095 0.6624 0.5800
O49 0.6649 0.1547 0.7467
O50 0.1370 0.6341 0.3598
O51 0.1346 0.4849 0.5756
O52 0.8013 0.8275 0.1954
O53 0.4660 0.3144 0.7438
O54 0.8465 0.8152 0.5907
O55 0.9813 0.7858 0.8078
O56 0.5541 0.8612 0.4786
O57 0.1498 0.6597 0.0781
O58 0.1846 0.1536 0.0908
O59 0.0130 0.1961 0.9123
O60 0.8644 0.3728 0.9204
O61 0.1387 0.4973 0.8647
O62 0.1887 0.1971 0.4093
O63 0.2980 0.4692 0.7569
O64 0.3005 0.8511 0.9762
O65 0.6323 0.1484 0.4218
O66 0.0311 0.8281 0.6969
O67 0.8862 0.5119 0.1420
O68 0.8405 0.2999 0.5271
O69 0.5478 0.6903 0.9721
O70 0.4698 0.2999 0.0273
O71 0.8032 0.9760 0.6915
O72 0.3592 0.8583 0.8596
Na1 0.0365 0.3501 0.0827
Na2 0.0385 0.6963 0.5798
Na3 0.3694 0.0102 0.7460
Na4 0.6497 0.9610 0.5809
Na5 0.3261 0.0242 0.4161
Na6 0.3493 0.6607 0.1630
Na7 0.9918 0.9915 0.4946
Na8 0.9905 0.6282 0.2458
Na9 0.3018 0.9600 0.0797
Na10 0.3374 0.6486 0.6623
Na11 0.9702 0.2967 0.4118
Na12 0.9770 0.6760 0.9161
Na13 0.9951 0.0021 0.9937
Na14 0.6715 0.3284 0.8290
Na15 0.6632 0.3307 0.3276
Si1 0.0382 0.6667 0.4179
Si2 0.9566 0.6270 0.0840
Si3 0.3348 0.9629 0.9177
Si4 0.0003 0.2951 0.2519
Si5 0.6288 0.9611 0.4185
Si6 0.7094 0.0030 0.7514
Si7 0.3713 0.0423 0.5850
Si8 0.3758 0.3366 0.0854
Si9 0.6634 0.6233 0.5856
Nb1 0.9980 0.0004 0.1467
Nb2 0.6574 0.3300 0.9793
Nb3 0.6649 0.3384 0.4798
Nb4 0.3343 0.6665 0.3132
Nb5 0.9993 0.0017 0.6470
Nb6 0.3404 0.6702 0.8131
P1 0.7053 0.7090 0.2496
P2 0.2890 0.2935 0.7506
P3 0.9578 0.3313 0.5828
P4 0.0396 0.3747 0.9174
P5 0.3371 0.3785 0.4163
P6 0.0009 0.7068 0.7520
P7 0.2933 0.0001 0.2515
P8 0.6685 0.0435 0.0831
P9 0.6249 0.6641 0.9168
In1 0.6692 0.3354 0.6855
In2 0.9906 0.9955 0.3503
In3 0.6650 0.3309 0.1848
In4 0.3377 0.6669 0.5173
In5 0.9998 0.0076 0.8514
In6 0.3357 0.6656 0.0166
```

Electronic total energy: -7.00 eV/atom

---

Here is an optimized crystal structure of Na2NbInSiP2O12 from the Materials Project. Energies are from GGA-PBE.

CIF file:
```
data_Na2NbInSiP2O12
_chemical_formula_sum 'Na12 Nb6 In6 Si6 P12 O72'
_cell_length_a 8.9892
_cell_length_b 8.9892
_cell_length_c 22.8702
_cell_angle_alpha 89.89
_cell_angle_beta 90.11
_cell_angle_gamma 119.77
_space_group_name_H-M_alt 'P 1'
_space_group_IT_number 1
loop_
_space_group_symop_operation_xyz
'x,y,z'
loop_
_atom_site_label
_atom_site_fract_x
_atom_site_fract_y
_atom_site_fract_z
Nb1 0.3413 0.6719 0.8132
Nb2 0.9997 0.9966 0.1464
Nb3 0.3281 0.6587 0.3132
Nb4 0.0034 0.0003 0.6464
Nb5 0.6618 0.3310 0.9798
Nb6 0.6690 0.3382 0.4798
O1 0.8186 0.0277 0.8070
O2 0.3013 0.8289 0.2557
O3 0.0266 0.1982 0.1912
O4 0.6667 0.1567 0.7457
O5 0.1919 0.1635 0.0894
O6 0.3614 0.4933 0.3627
O7 0.2183 0.1796 0.8031
O8 0.1706 0.1989 0.6955
O9 0.8631 0.3706 0.9231
O10 0.6374 0.1179 0.1386
O11 0.6960 0.5340 0.5293
O12 0.1824 0.0263 0.5913
O13 0.0226 0.8367 0.4090
O14 0.8821 0.3626 0.6387
O15 0.1341 0.4973 0.8649
O16 0.1447 0.6395 0.0786
O17 0.8018 0.9734 0.6912
O18 0.8059 0.8129 0.9107
O19 0.4797 0.3582 0.1387
O20 0.4694 0.3163 0.7421
O21 0.8204 0.7817 0.3031
O22 0.9618 0.1584 0.5889
O23 0.6418 0.5203 0.6387
O24 0.8365 0.8081 0.5894
O25 0.8036 0.9854 0.4123
O26 0.3632 0.8648 0.8574
O27 0.5444 0.6903 0.9719
O28 0.2163 0.0234 0.3074
O29 0.1800 0.4853 0.2576
O30 0.4702 0.1657 0.5256
O31 0.5047 0.3626 0.4226
O32 0.3097 0.4556 0.4719
O33 0.9723 0.1814 0.3070
O34 0.6374 0.4953 0.9226
O35 0.8387 0.3046 0.5300
O36 0.5192 0.8608 0.0771
O37 0.9766 0.7837 0.8074
O38 0.1611 0.7088 0.4716
O39 0.8798 0.5137 0.1420
O40 0.5027 0.8659 0.3649
O41 0.4701 0.1554 0.2430
O42 0.1871 0.1941 0.4107
O43 0.3435 0.4823 0.0757
O44 0.6837 0.5306 0.2421
O45 0.1392 0.4808 0.5771
O46 0.4660 0.3040 0.0293
O47 0.9737 0.8176 0.0913
O48 0.8011 0.8294 0.1955
O49 0.1689 0.9685 0.1981
O50 0.5147 0.8200 0.7576
O51 0.0315 0.8311 0.6981
O52 0.6294 0.1369 0.4231
O53 0.2912 0.8389 0.9716
O54 0.5067 0.6386 0.8627
O55 0.5099 0.1495 0.9244
O56 0.8505 0.4901 0.4244
O57 0.8433 0.3333 0.2457
O58 0.1423 0.4501 0.9746
O59 0.1352 0.6368 0.3574
O60 0.3605 0.8553 0.5786
O61 0.4863 0.1202 0.6420
O62 0.1633 0.9774 0.9090
O63 0.1711 0.6987 0.7557
O64 0.0146 0.1964 0.9123
O65 0.5177 0.6565 0.5757
O66 0.8416 0.0382 0.0889
O67 0.5295 0.7020 0.2564
O68 0.5499 0.8577 0.4746
O69 0.8446 0.5299 0.7430
O70 0.6954 0.1613 0.0300
O71 0.8343 0.5298 0.0256
O72 0.2980 0.4705 0.7564
Na1 0.3239 0.6545 0.6623
Na2 0.3230 0.0217 0.4169
Na3 0.3707 0.0097 0.7470
Na4 0.9993 0.9958 0.4959
Na5 0.6567 0.9652 0.5834
Na6 0.3455 0.6761 0.1623
Na7 0.9903 0.6293 0.2470
Na8 0.0348 0.3433 0.0834
Na9 0.6696 0.3290 0.8294
Na10 0.9783 0.6770 0.9169
Na11 0.0042 0.0007 0.9959
Na12 0.6710 0.3304 0.3294
In1 0.6696 0.3339 0.6846
In2 0.6661 0.3304 0.1846
In3 0.3351 0.6733 0.0181
In4 0.9929 0.0011 0.3516
In5 0.3267 0.6649 0.5181
In6 0.9989 0.0071 0.8516
P1 0.2931 0.0014 0.2520
P2 0.3347 0.3758 0.4178
P3 0.6242 0.6653 0.9178
P4 0.6659 0.0391 0.0838
P5 0.9986 0.7069 0.7520
P6 0.7070 0.7103 0.2503
P7 0.6679 0.6254 0.5838
P8 0.0433 0.3750 0.9184
P9 0.9609 0.3341 0.5838
P10 0.3746 0.3321 0.0838
P11 0.2897 0.2930 0.7503
P12 0.6250 0.9567 0.4184
Si1 0.9607 0.6266 0.0843
Si2 0.3321 0.9625 0.9172
Si3 0.0375 0.6679 0.4172
Si4 0.9965 0.2890 0.2507
Si5 0.7110 0.0035 0.7507
Si6 0.3734 0.0393 0.5843
```

Electronic total energy: -7.07 eV/atom